# 1
First-principles (GGA-PBE) data for Fe3Cu after structural relaxation, as listed in the Materials Project database.

Cell lengths 5.616, 5.616, 5.616 Å; angles 90.00, 90.00, 90.00 degrees
Space group Fm-3m (No. 225)
Asymmetric unit:
Fe 0.000 0.000 0.000 x4
Fe 0.250 0.250 0.250 x8
Cu 0.000 0.000 0.500 x4

***

# 2
First-principles (GGA-PBE) data for Mg5Si16Pd10 after structural relaxation, as listed in the Materials Project database.

Cell lengths 12.662, 12.662, 12.662 Å; angles 90.00, 90.00, 90.00 degrees
Space group F-43m (No. 216)
Asymmetric unit:
Mg 0.000 0.000 0.000 x4
Mg 0.151 0.151 0.651 x16
Si 0.045 0.184 0.184 x48
Si 0.073 0.073 0.427 x16
Pd 0.000 0.000 0.263 x24
Pd 0.129 0.129 0.871 x16

***

# 3
First-principles (GGA-PBE) data for CsCu4Se3 after structural relaxation, as listed in the Materials Project database.

Cell lengths 4.107, 4.107, 10.148 Å; angles 90.00, 90.00, 90.00 degrees
Space group P4/mmm (No. 123)
Asymmetric unit:
Cs 0.000 0.000 0.000 x1
Cu 0.000 0.500 0.349 x4
Se 0.000 0.000 0.500 x1
Se 0.500 0.500 0.220 x2

***

# 4
First-principles (GGA-PBE) data for BaIn after structural relaxation, as listed in the Materials Project database.

Cell lengths 8.306, 12.711, 5.701 Å; angles 90.00, 90.00, 90.00 degrees
Space group Cmcm (No. 63)
Asymmetric unit:
Ba 0.000 0.125 0.250 x4
Ba 0.000 0.324 0.750 x4
In 0.201 0.421 0.250 x8

***

# 5
First-principles (GGA-PBE) data for DyTiFe11C after structural relaxation, as listed in the Materials Project database.

Cell lengths 4.854, 8.571, 8.500 Å; angles 90.00, 90.00, 90.00 degrees
Space group Imm2 (No. 44)
Asymmetric unit:
Dy 0.000 0.000 0.000 x2
Ti 0.000 0.000 0.374 x2
Fe 0.000 0.000 0.651 x2
Fe 0.000 0.280 0.510 x4
Fe 0.000 0.359 0.007 x4
Fe 0.000 0.500 0.283 x2
Fe 0.000 0.500 0.730 x2
Fe 0.249 0.248 0.757 x8
C 0.000 0.500 0.506 x2

***

# 6
First-principles (GGA-PBE) data for CaSiH2O4 after structural relaxation, as listed in the Materials Project database.

Cell lengths 19.407, 23.378, 3.597 Å; angles 90.00, 90.00, 90.00 degrees
Space group Fdd2 (No. 43)
Asymmetric unit:
Ca 0.104 0.042 0.000 x16
Si 0.030 0.354 0.801 x16
H 0.060 0.209 0.728 x16
H 0.112 0.442 0.977 x16
O 0.000 0.000 0.193 x8
O 0.000 0.000 0.807 x8
O 0.014 0.318 0.192 x16
O 0.109 0.226 0.751 x16
O 0.113 0.354 0.744 x16

***

# 7
First-principles (GGA-PBE) data for BaSrTbNbO6 after structural relaxation, as listed in the Materials Project database.

Cell lengths 8.527, 8.527, 8.527 Å; angles 90.00, 90.00, 90.00 degrees
Space group F-43m (No. 216)
Asymmetric unit:
Ba 0.000 0.000 0.000 x4
Sr 0.000 0.000 0.500 x4
Tb 0.250 0.250 0.750 x4
Nb 0.250 0.250 0.250 x4
O 0.013 0.250 0.250 x24

***

# 8
First-principles (GGA-PBE) data for CaCO3 after structural relaxation, as listed in the Materials Project database.

Cell lengths 8.707, 5.027, 8.728 Å; angles 90.00, 90.05, 90.00 degrees
Space group C2 (No. 5)
Asymmetric unit:
Ca 0.000 0.000 0.000 x2
Ca 0.166 0.500 0.335 x4
C 0.000 0.001 0.500 x2
C 0.167 0.500 0.830 x4
O 0.000 0.743 0.500 x2
O 0.039 0.368 0.830 x4
O 0.129 0.130 0.501 x4
O 0.166 0.758 0.831 x4
O 0.202 0.873 0.170 x4

***

DFT formation energy values (in eV/atom) by entry order: 0.181 -0.469 -0.535 -0.420 -0.095 -1.842 -3.418 -2.687.